No. 1
# Pb

Crystalline Pb at its relaxed geometry (GGA-PBE, the Materials Project).

Relative energy among the computed polymorphs ... 11.2 kJ/mol of atoms
Final energy ... -3.60 eV/atom

Structure (CIF):
```
data_Pb
_symmetry_space_group_name_H-M 'P 1'
_symmetry_Int_Tables_number 1
_cell_length_a 7.2733
_cell_length_b 7.2733
_cell_length_c 7.6911
_cell_angle_alpha 90.00
_cell_angle_beta 90.00
_cell_angle_gamma 90.00
loop_
_symmetry_equiv_pos_as_xyz
'x,y,z'
loop_
_atom_site_label
_atom_site_type_symbol
_atom_site_fract_x
_atom_site_fract_y
_atom_site_fract_z
Pb1 Pb 0.0000 0.5000 0.2500
Pb2 Pb 0.0000 0.5000 0.7500
Pb3 Pb 0.1574 0.1588 0.0000
Pb4 Pb 0.1588 0.8426 0.5000
Pb5 Pb 0.3412 0.3426 0.5000
Pb6 Pb 0.3426 0.6588 0.0000
Pb7 Pb 0.5000 0.0000 0.2500
Pb8 Pb 0.5000 0.0000 0.7500
Pb9 Pb 0.6574 0.3412 0.0000
Pb10 Pb 0.6588 0.6574 0.5000
Pb11 Pb 0.8412 0.1574 0.5000
Pb12 Pb 0.8426 0.8412 0.0000
```

---

No. 2
# Na3Al2Ga2P3S3O24

Crystalline Na3Al2Ga2P3S3O24 at its relaxed geometry (GGA-PBE, the Materials Project).

Final energy ... -6.47 eV/atom

Structure (CIF):
```
data_Na3Al2Ga2P3S3O24
_symmetry_space_group_name_H-M 'P 1'
_symmetry_Int_Tables_number 1
_cell_length_a 8.4714
_cell_length_b 8.4825
_cell_length_c 21.8975
_cell_angle_alpha 89.09
_cell_angle_beta 89.90
_cell_angle_gamma 60.05
loop_
_symmetry_equiv_pos_as_xyz
'x,y,z'
loop_
_atom_site_label
_atom_site_type_symbol
_atom_site_fract_x
_atom_site_fract_y
_atom_site_fract_z
Na1 Na 0.0000 0.0000 0.0000
Na2 Na 0.0012 0.0003 0.5001
Na3 Na 0.3303 0.3482 0.1657
Na4 Na 0.3316 0.3389 0.6664
Na5 Na 0.3595 0.0059 0.2506
Na6 Na 0.6613 0.6778 0.8323
Na7 Na 0.6647 0.6723 0.3330
Na8 Na 0.6928 0.3393 0.9162
Na9 Na 0.9691 0.3394 0.4163
Al1 Al 0.3169 0.3412 0.5183
Al2 Al 0.3439 0.3418 0.0173
Al3 Al 0.3471 0.3370 0.8147
Al4 Al 0.6738 0.6573 0.6849
Al5 Al 0.9892 0.0202 0.6482
Al6 Al 0.9952 0.0006 0.8515
Ga1 Ga 0.0122 0.9945 0.3512
Ga2 Ga 0.3182 0.3497 0.3153
Ga3 Ga 0.6582 0.6769 0.9808
Ga4 Ga 0.6671 0.6541 0.1843
Ga5 Ga 0.6672 0.6772 0.4820
Ga6 Ga 0.9972 0.0114 0.1483
P1 P 0.0431 0.6323 0.4175
P2 P 0.2876 0.7119 0.2484
P3 P 0.3236 0.6317 0.9153
P4 P 0.3372 0.0473 0.4172
P5 P 0.6184 0.0484 0.9161
P6 P 0.6638 0.3794 0.0820
P7 P 0.7099 0.2937 0.7496
P8 P 0.9556 0.3816 0.5836
P9 P 0.9947 0.2980 0.2501
S1 S 0.0507 0.3368 0.9156
S2 S 0.2868 0.0059 0.7494
S3 S 0.3734 0.9669 0.0827
S4 S 0.3735 0.6724 0.5838
S5 S 0.6160 0.3383 0.4174
S6 S 0.6647 0.9633 0.5844
S7 S 0.7093 0.0056 0.2497
S8 S 0.9575 0.6697 0.0825
S9 S 0.9985 0.7171 0.7489
O1 O 0.0193 0.8226 0.4100
O2 O 0.0251 0.1750 0.9092
O3 O 0.0316 0.8000 0.6940
O4 O 0.0380 0.1757 0.1940
O5 O 0.1171 0.5123 0.3607
O6 O 0.1296 0.3692 0.8602
O7 O 0.1379 0.5042 0.0749
O8 O 0.1460 0.3623 0.5755
O9 O 0.1575 0.8230 0.9058
O10 O 0.1594 0.3061 0.9716
O11 O 0.1599 0.0360 0.4113
O12 O 0.1602 0.5332 0.7576
O13 O 0.1637 0.5428 0.4736
O14 O 0.1687 0.7977 0.1912
O15 O 0.1711 0.3099 0.2556
O16 O 0.1734 0.0363 0.6943
O17 O 0.1902 0.8351 0.5922
O18 O 0.1927 0.9813 0.0886
O19 O 0.2053 0.9714 0.8047
O20 O 0.2119 0.8328 0.3050
O21 O 0.2935 0.5450 0.9728
O22 O 0.2991 0.1718 0.4721
O23 O 0.3030 0.1709 0.7569
O24 O 0.3121 0.5219 0.2562
O25 O 0.3534 0.1493 0.0741
O26 O 0.3594 0.5063 0.5761
O27 O 0.3650 0.5075 0.8598
O28 O 0.3701 0.1264 0.3574
O29 O 0.4495 0.7099 0.5280
O30 O 0.4534 0.8520 0.0286
O31 O 0.4706 0.8427 0.7412
O32 O 0.4755 0.7026 0.2422
O33 O 0.4859 0.8894 0.1390
O34 O 0.4898 0.6413 0.6384
O35 O 0.4926 0.3612 0.0744
O36 O 0.4996 0.1351 0.8593
O37 O 0.5003 0.6451 0.9223
O38 O 0.5020 0.1462 0.5755
O39 O 0.5033 0.8560 0.4245
O40 O 0.5088 0.3717 0.3609
O41 O 0.5182 0.3150 0.7575
O42 O 0.5254 0.1679 0.2554
O43 O 0.5340 0.3081 0.4725
O44 O 0.5358 0.1703 0.9723
O45 O 0.6261 0.4978 0.1380
O46 O 0.6311 0.8781 0.6388
O47 O 0.6400 0.5006 0.4226
O48 O 0.6431 0.8568 0.9239
O49 O 0.6864 0.8436 0.2428
O50 O 0.6884 0.4859 0.7410
O51 O 0.6999 0.8534 0.5289
O52 O 0.7020 0.4615 0.0236
O53 O 0.7856 0.0398 0.1938
O54 O 0.7966 0.1735 0.6940
O55 O 0.8012 0.1765 0.4116
O56 O 0.8090 0.0334 0.9076
O57 O 0.8202 0.9714 0.3051
O58 O 0.8286 0.4882 0.2436
O59 O 0.8295 0.2081 0.8080
O60 O 0.8306 0.9794 0.5921
O61 O 0.8322 0.7009 0.7415
O62 O 0.8358 0.1892 0.0896
O63 O 0.8386 0.4603 0.5245
O64 O 0.8418 0.7068 0.0273
O65 O 0.8535 0.6456 0.4237
O66 O 0.8636 0.4987 0.9212
O67 O 0.8662 0.5050 0.6386
O68 O 0.8774 0.6385 0.1382
O69 O 0.9599 0.2166 0.3088
O70 O 0.9664 0.8296 0.8039
O71 O 0.9756 0.8340 0.0887
O72 O 0.9766 0.1902 0.5923
```

---

No. 3
# Cs3Zr7MnCl20

Crystalline Cs3Zr7MnCl20 at its relaxed geometry (GGA-PBE, the Materials Project).

Final energy ... -5.27 eV/atom

Structure (CIF):
```
data_Cs3Zr7MnCl20
_symmetry_space_group_name_H-M 'P 1'
_symmetry_Int_Tables_number 1
_cell_length_a 14.1737
_cell_length_b 14.1737
_cell_length_c 14.1737
_cell_angle_alpha 55.43
_cell_angle_beta 55.43
_cell_angle_gamma 55.43
loop_
_symmetry_equiv_pos_as_xyz
'x,y,z'
loop_
_atom_site_label
_atom_site_type_symbol
_atom_site_fract_x
_atom_site_fract_y
_atom_site_fract_z
Cs1 Cs 0.0000 0.0000 0.5000
Cs2 Cs 0.0000 0.5000 0.0000
Cs3 Cs 0.0000 0.5000 0.5000
Cs4 Cs 0.5000 0.0000 0.0000
Cs5 Cs 0.5000 0.0000 0.5000
Cs6 Cs 0.5000 0.5000 0.0000
Zr1 Zr 0.0454 0.1866 0.8862
Zr2 Zr 0.1138 0.9546 0.8134
Zr3 Zr 0.1866 0.8862 0.0454
Zr4 Zr 0.2500 0.2500 0.2500
Zr5 Zr 0.3134 0.4546 0.6138
Zr6 Zr 0.3862 0.6866 0.5454
Zr7 Zr 0.4546 0.6138 0.3134
Zr8 Zr 0.5454 0.3862 0.6866
Zr9 Zr 0.6138 0.3134 0.4546
Zr10 Zr 0.6866 0.5454 0.3862
Zr11 Zr 0.7500 0.7500 0.7500
Zr12 Zr 0.8134 0.1138 0.9546
Zr13 Zr 0.8862 0.0454 0.1866
Zr14 Zr 0.9546 0.8134 0.1138
Mn1 Mn 0.0000 0.0000 0.0000
Mn2 Mn 0.5000 0.5000 0.5000
Cl1 Cl 0.0687 0.2500 0.4313
Cl2 Cl 0.0728 0.7536 0.9231
Cl3 Cl 0.0769 0.9272 0.2464
Cl4 Cl 0.0968 0.4032 0.7500
Cl5 Cl 0.1514 0.6788 0.1696
Cl6 Cl 0.1696 0.1514 0.6788
Cl7 Cl 0.1788 0.6514 0.6696
Cl8 Cl 0.1812 0.1812 0.1812
Cl9 Cl 0.2464 0.0769 0.9272
Cl10 Cl 0.2500 0.4313 0.0687
Cl11 Cl 0.2500 0.9032 0.5968
Cl12 Cl 0.2536 0.5728 0.4231
Cl13 Cl 0.3188 0.3188 0.3188
Cl14 Cl 0.3212 0.8304 0.8486
Cl15 Cl 0.3304 0.8212 0.3486
Cl16 Cl 0.3486 0.3304 0.8212
Cl17 Cl 0.4032 0.7500 0.0968
Cl18 Cl 0.4231 0.2536 0.5728
Cl19 Cl 0.4272 0.5769 0.7464
Cl20 Cl 0.4313 0.0687 0.2500
Cl21 Cl 0.5687 0.9313 0.7500
Cl22 Cl 0.5728 0.4231 0.2536
Cl23 Cl 0.5769 0.7464 0.4272
Cl24 Cl 0.5968 0.2500 0.9032
Cl25 Cl 0.6514 0.6696 0.1788
Cl26 Cl 0.6696 0.1788 0.6514
Cl27 Cl 0.6788 0.1696 0.1514
Cl28 Cl 0.6812 0.6812 0.6812
Cl29 Cl 0.7464 0.4272 0.5769
Cl30 Cl 0.7500 0.0968 0.4032
Cl31 Cl 0.7500 0.5687 0.9313
Cl32 Cl 0.7536 0.9231 0.0728
Cl33 Cl 0.8188 0.8188 0.8188
Cl34 Cl 0.8212 0.3486 0.3304
Cl35 Cl 0.8304 0.8486 0.3212
Cl36 Cl 0.8486 0.3212 0.8304
Cl37 Cl 0.9032 0.5968 0.2500
Cl38 Cl 0.9231 0.0728 0.7536
Cl39 Cl 0.9272 0.2464 0.0769
Cl40 Cl 0.9313 0.7500 0.5687
```

---

Number 1: formation enthalpy at 0 K 2.67 kcal/mol of atoms. Number 2: formation enthalpy at 0 K -56.79 kcal/mol of atoms. Number 3: formation enthalpy at 0 K -49.80 kcal/mol of atoms.